Record 1
First-principles (r²SCAN) data for a relaxed structure of EuGaPt, as listed in the Materials Project.

The space group is Pnma (No. 62) and the conventional cell measures 7.2245, 4.5002 and 7.6985 Å, with angles of 90.00, 90.00 and 90.00 degrees. The asymmetric unit holds Eu at (0.0160, 0.2500, 0.1885), Ga at (0.1630, 0.2500, 0.5757) and Pt at (0.2045, 0.7500, 0.3973).

As for the final energy: -34.819 eV per atom. Its magnetic moment is 7.137 μB per formula unit.

=====

Record 2
First-principles (r²SCAN) data for a relaxed structure of Pr5Ir3, as listed in the Materials Project.

The space group is P4/ncc (No. 130, origin choice 2) and the conventional cell measures 11.3178, 11.3178 and 6.6131 Å, with angles of 90.00, 90.00 and 90.00 degrees. The asymmetric unit holds Pr at (0.0429, 0.1586, 0.1109), Pr at (0.2500, 0.7500, 0.0000), Ir at (0.0965, 0.5965, 0.7500) and Ir at (0.2500, 0.2500, 0.3746).

As for the final energy: -38.677 eV per atom. Its magnetic moment is 0.000 μB per formula unit.

=====

> Which value of final energy does entry 1 give?

-34.819 eV per atom